a:
## LiMnP2O7 (PBE with a Hubbard U)

Data for an optimized crystal structure of LiMnP2O7.

Symmetry: No. 1

Lattice parameters (Å, degrees): 5.172 6.912 8.072 112.50 90.69 92.31
Sites, in units of the cell vectors:
1 Li 0.000 0.000 0.000
2 Li 0.465 0.326 0.562
3 Mn 0.005 0.379 0.843
4 Mn 0.540 0.930 0.301
5 P 0.046 0.626 0.268
6 P 0.478 0.702 0.873
7 P 0.521 0.051 0.747
8 P 0.992 0.274 0.396
9 O 0.034 0.511 0.409
10 O 0.083 0.303 0.588
11 O 0.159 0.128 0.254
12 O 0.187 0.664 0.898
13 O 0.326 0.182 0.875
14 O 0.336 0.674 0.251
15 O 0.467 0.039 0.556
16 O 0.485 0.809 0.727
17 O 0.613 0.865 0.044
18 O 0.624 0.504 0.787
19 O 0.699 0.219 0.361
20 O 0.809 0.109 0.807
21 O 0.888 0.815 0.347
22 O 0.933 0.458 0.091

---

b:
## LiMnP2O7 (PBE with a Hubbard U)

Data for an optimized crystal structure of LiMnP2O7.

Symmetry: No. 1

Lattice parameters (Å, degrees): 9.737 9.905 11.149 79.10 89.70 89.19
Sites, in units of the cell vectors:
1 Li 0.000 0.000 0.000
2 Li 0.022 0.503 0.469
3 Li 0.225 0.289 0.942
4 Li 0.328 0.008 0.468
5 Li 0.404 0.516 0.989
6 Li 0.551 0.832 0.511
7 Li 0.588 0.268 0.525
8 Li 0.710 0.018 0.040
9 Mn 0.008 0.215 0.159
10 Mn 0.154 0.703 0.648
11 Mn 0.211 0.206 0.647
12 Mn 0.366 0.711 0.160
13 Mn 0.514 0.100 0.828
14 Mn 0.665 0.638 0.329
15 Mn 0.724 0.156 0.315
16 Mn 0.855 0.598 0.833
17 P 0.004 0.350 0.734
18 P 0.005 0.954 0.724
19 P 0.083 0.535 0.055
20 P 0.151 0.791 0.367
21 P 0.216 0.298 0.364
22 P 0.298 0.032 0.062
23 P 0.370 0.452 0.724
24 P 0.372 0.852 0.733
25 P 0.488 0.392 0.240
26 P 0.511 0.977 0.251
27 P 0.586 0.773 0.925
28 P 0.647 0.538 0.612
29 P 0.727 0.034 0.610
30 P 0.790 0.274 0.920
31 P 0.858 0.487 0.241
32 P 0.880 0.895 0.246
33 O 0.000 0.619 0.951
34 O 0.004 0.498 0.760
35 O 0.018 0.343 0.600
36 O 0.027 0.946 0.857
37 O 0.028 0.824 0.269
38 O 0.091 0.379 0.050
39 O 0.092 0.691 0.481
40 O 0.108 0.044 0.638
41 O 0.116 0.211 0.302
42 O 0.127 0.259 0.795
43 O 0.155 0.098 0.069
44 O 0.164 0.431 0.388
45 O 0.196 0.923 0.397
46 O 0.226 0.588 0.072
47 O 0.249 0.761 0.784
48 O 0.255 0.711 0.302
49 O 0.270 0.546 0.639
50 O 0.278 0.200 0.480
51 O 0.292 0.881 0.055
52 O 0.340 0.436 0.859
53 O 0.341 0.321 0.269
54 O 0.367 0.000 0.763
55 O 0.374 0.046 0.186
56 O 0.376 0.124 0.956
57 O 0.379 0.310 0.680
58 O 0.381 0.853 0.598
59 O 0.481 0.538 0.277
60 O 0.495 0.686 0.023
61 O 0.504 0.993 0.384
62 O 0.506 0.777 0.797
63 O 0.511 0.391 0.108
64 O 0.516 0.523 0.705
65 O 0.521 0.829 0.229
66 O 0.587 0.301 0.334
67 O 0.597 0.922 0.942
68 O 0.602 0.645 0.496
69 O 0.614 0.109 0.675
70 O 0.630 0.070 0.189
71 O 0.661 0.191 0.910
72 O 0.681 0.402 0.582
73 O 0.693 0.893 0.593
74 O 0.724 0.709 0.907
75 O 0.738 0.582 0.181
76 O 0.755 0.141 0.491
77 O 0.755 0.603 0.683
78 O 0.770 0.420 0.934
79 O 0.778 0.811 0.332
80 O 0.850 0.335 0.226
81 O 0.853 0.511 0.372
82 O 0.857 0.029 0.696
83 O 0.861 0.906 0.110
84 O 0.869 0.275 0.791
85 O 0.882 0.186 0.021
86 O 0.890 0.046 0.278
87 O 0.998 0.545 0.179
88 O 0.998 0.813 0.681

---

Bottom line: b, by a margin of 0.048 eV/atom.

---

a:
## LiMnP2O7 (PBE with a Hubbard U)

Data for an optimized crystal structure of LiMnP2O7.

Symmetry: No. 4

Lattice parameters (Å, degrees): 4.809 8.353 7.117 90.00 109.30 90.00
Sites, in units of the cell vectors:
1 Li 0.182 0.000 0.180
2 Li 0.818 0.500 0.820
3 Mn 0.211 0.362 0.226
4 Mn 0.789 0.862 0.774
5 P 0.211 0.072 0.594
6 P 0.400 0.681 0.012
7 P 0.600 0.181 0.988
8 P 0.789 0.572 0.406
9 O 0.066 0.533 0.353
10 O 0.137 0.155 0.394
11 O 0.191 0.827 0.978
12 O 0.243 0.521 0.988
13 O 0.389 0.187 0.110
14 O 0.398 0.921 0.602
15 O 0.400 0.203 0.756
16 O 0.600 0.703 0.244
17 O 0.602 0.421 0.398
18 O 0.611 0.687 0.890
19 O 0.757 0.021 0.012
20 O 0.809 0.327 0.022
21 O 0.863 0.655 0.606
22 O 0.934 0.033 0.647

---

b:
## LiMnP2O7 (PBE with a Hubbard U)

Data for an optimized crystal structure of LiMnP2O7.

Symmetry: No. 14

Lattice parameters (Å, degrees): 8.447 5.183 13.463 90.00 117.82 90.00
Sites, in units of the cell vectors:
1 Li 0.058 0.240 0.201
2 Li 0.058 0.260 0.701
3 Li 0.942 0.740 0.299
4 Li 0.942 0.760 0.799
5 Mn 0.231 0.239 0.971
6 Mn 0.231 0.261 0.471
7 Mn 0.769 0.739 0.529
8 Mn 0.769 0.761 0.029
9 P 0.187 0.713 0.114
10 P 0.187 0.787 0.614
11 P 0.329 0.737 0.353
12 P 0.329 0.763 0.853
13 P 0.671 0.237 0.147
14 P 0.671 0.263 0.647
15 P 0.813 0.213 0.386
16 P 0.813 0.287 0.886
17 O 0.021 0.706 0.628
18 O 0.021 0.794 0.128
19 O 0.184 0.078 0.592
20 O 0.184 0.422 0.092
21 O 0.201 0.555 0.855
22 O 0.201 0.945 0.355
23 O 0.218 0.622 0.533
24 O 0.218 0.878 0.033
25 O 0.246 0.033 0.841
26 O 0.246 0.467 0.341
27 O 0.347 0.725 0.739
28 O 0.347 0.775 0.239
29 O 0.484 0.231 0.552
30 O 0.484 0.269 0.052
31 O 0.516 0.731 0.948
32 O 0.516 0.769 0.448
33 O 0.653 0.225 0.761
34 O 0.653 0.275 0.261
35 O 0.754 0.533 0.659
36 O 0.754 0.967 0.159
37 O 0.782 0.122 0.967
38 O 0.782 0.378 0.467
39 O 0.799 0.055 0.645
40 O 0.799 0.445 0.145
41 O 0.816 0.578 0.908
42 O 0.816 0.922 0.408
43 O 0.979 0.206 0.872
44 O 0.979 0.294 0.372

---

Bottom line: b, by a margin of 0.118 eV/atom.

---

a:
## LiMnP2O7 (PBE with a Hubbard U)

Data for an optimized crystal structure of LiMnP2O7.

Symmetry: No. 14

Lattice parameters (Å, degrees): 6.658 11.408 7.949 90.00 119.10 90.00
Sites, in units of the cell vectors:
1 Li 0.235 0.089 0.261
2 Li 0.235 0.411 0.761
3 Li 0.765 0.589 0.239
4 Li 0.765 0.911 0.739
5 Mn 0.051 0.709 0.099
6 Mn 0.051 0.791 0.599
7 Mn 0.949 0.209 0.401
8 Mn 0.949 0.291 0.901
9 P 0.131 0.087 0.810
10 P 0.131 0.413 0.310
11 P 0.488 0.149 0.710
12 P 0.488 0.351 0.210
13 P 0.512 0.649 0.790
14 P 0.512 0.851 0.290
15 P 0.869 0.587 0.690
16 P 0.869 0.913 0.190
17 O 0.018 0.687 0.836
18 O 0.018 0.813 0.336
19 O 0.076 0.538 0.237
20 O 0.076 0.962 0.737
21 O 0.108 0.117 0.986
22 O 0.108 0.383 0.486
23 O 0.273 0.166 0.508
24 O 0.273 0.334 0.008
25 O 0.368 0.553 0.797
26 O 0.368 0.947 0.297
27 O 0.380 0.734 0.211
28 O 0.380 0.766 0.711
29 O 0.391 0.116 0.857
30 O 0.391 0.384 0.357
31 O 0.609 0.616 0.643
32 O 0.609 0.884 0.143
33 O 0.620 0.234 0.289
34 O 0.620 0.266 0.789
35 O 0.632 0.053 0.703
36 O 0.632 0.447 0.203
37 O 0.727 0.666 0.992
38 O 0.727 0.834 0.492
39 O 0.892 0.617 0.514
40 O 0.892 0.883 0.014
41 O 0.924 0.038 0.263
42 O 0.924 0.462 0.763
43 O 0.982 0.187 0.664
44 O 0.982 0.313 0.164

---

b:
## LiMnP2O7 (PBE with a Hubbard U)

Data for an optimized crystal structure of LiMnP2O7.

Symmetry: No. 2

Lattice parameters (Å, degrees): 5.006 6.062 8.983 74.72 88.33 87.59
Sites, in units of the cell vectors:
1 Li 0.205 0.301 0.029
2 Li 0.795 0.699 0.971
3 Mn 0.251 0.967 0.748
4 Mn 0.749 0.033 0.252
5 P 0.222 0.289 0.366
6 P 0.277 0.745 0.163
7 P 0.723 0.255 0.837
8 P 0.778 0.711 0.634
9 O 0.066 0.735 0.683
10 O 0.084 0.948 0.167
11 O 0.209 0.638 0.034
12 O 0.249 0.565 0.330
13 O 0.280 0.195 0.533
14 O 0.421 0.214 0.252
15 O 0.430 0.176 0.853
16 O 0.570 0.824 0.147
17 O 0.579 0.786 0.748
18 O 0.720 0.805 0.467
19 O 0.751 0.435 0.670
20 O 0.791 0.362 0.966
21 O 0.916 0.052 0.833
22 O 0.934 0.265 0.317

---

Bottom line: b, by a margin of 0.055 eV/atom.

---

a:
## LiMnP2O7 (PBE with a Hubbard U)

Data for an optimized crystal structure of LiMnP2O7.

Symmetry: No. 14

Lattice parameters (Å, degrees): 7.133 9.812 8.421 90.00 110.78 90.00
Sites, in units of the cell vectors:
1 Li 0.107 0.153 0.040
2 Li 0.107 0.347 0.540
3 Li 0.893 0.653 0.460
4 Li 0.893 0.847 0.960
5 Mn 0.229 0.603 0.253
6 Mn 0.229 0.897 0.753
7 Mn 0.771 0.103 0.247
8 Mn 0.771 0.397 0.747
9 P 0.136 0.594 0.815
10 P 0.136 0.906 0.315
11 P 0.462 0.643 0.706
12 P 0.462 0.857 0.206
13 P 0.538 0.143 0.794
14 P 0.538 0.357 0.294
15 P 0.864 0.094 0.685
16 P 0.864 0.406 0.185
17 O 0.013 0.023 0.201
18 O 0.013 0.477 0.701
19 O 0.068 0.727 0.707
20 O 0.068 0.773 0.207
21 O 0.119 0.606 0.985
22 O 0.119 0.894 0.485
23 O 0.326 0.083 0.743
24 O 0.326 0.417 0.243
25 O 0.328 0.611 0.526
26 O 0.328 0.889 0.026
27 O 0.364 0.567 0.832
28 O 0.364 0.933 0.332
29 O 0.480 0.706 0.260
30 O 0.480 0.794 0.760
31 O 0.520 0.206 0.240
32 O 0.520 0.294 0.740
33 O 0.636 0.067 0.668
34 O 0.636 0.433 0.168
35 O 0.672 0.111 0.974
36 O 0.672 0.389 0.474
37 O 0.674 0.583 0.757
38 O 0.674 0.917 0.257
39 O 0.881 0.106 0.515
40 O 0.881 0.394 0.015
41 O 0.932 0.227 0.793
42 O 0.932 0.273 0.293
43 O 0.987 0.523 0.299
44 O 0.987 0.977 0.799

---

b:
## LiMnP2O7 (PBE with a Hubbard U)

Data for an optimized crystal structure of LiMnP2O7.

Symmetry: No. 2

Lattice parameters (Å, degrees): 5.960 6.190 8.122 96.45 101.31 109.02
Sites, in units of the cell vectors:
1 Li 0.000 0.000 0.000
2 Li 0.000 0.000 0.500
3 Mn 0.360 0.686 0.222
4 Mn 0.640 0.314 0.778
5 P 0.187 0.462 0.789
6 P 0.424 0.224 0.318
7 P 0.576 0.776 0.682
8 P 0.813 0.538 0.211
9 O 0.079 0.682 0.311
10 O 0.215 0.626 0.949
11 O 0.271 0.348 0.217
12 O 0.293 0.611 0.650
13 O 0.314 0.281 0.814
14 O 0.371 0.187 0.490
15 O 0.383 0.002 0.192
16 O 0.617 0.998 0.808
17 O 0.629 0.813 0.510
18 O 0.686 0.719 0.186
19 O 0.707 0.389 0.350
20 O 0.729 0.652 0.783
21 O 0.785 0.374 0.051
22 O 0.921 0.318 0.689

---

c:
## LiMnP2O7 (PBE with a Hubbard U)

Data for an optimized crystal structure of LiMnP2O7.

Symmetry: No. 14

Lattice parameters (Å, degrees): 6.953 8.070 9.681 90.00 112.37 90.00
Sites, in units of the cell vectors:
1 Li 0.207 0.130 0.024
2 Li 0.207 0.370 0.524
3 Li 0.793 0.630 0.476
4 Li 0.793 0.870 0.976
5 Mn 0.276 0.735 0.996
6 Mn 0.276 0.765 0.496
7 Mn 0.724 0.235 0.504
8 Mn 0.724 0.265 0.004
9 P 0.047 0.539 0.203
10 P 0.047 0.961 0.703
11 P 0.454 0.082 0.700
12 P 0.454 0.418 0.200
13 P 0.546 0.582 0.800
14 P 0.546 0.918 0.300
15 P 0.953 0.039 0.297
16 P 0.953 0.461 0.797
17 O 0.045 0.683 0.102
18 O 0.045 0.817 0.602
19 O 0.095 0.586 0.369
20 O 0.095 0.914 0.869
21 O 0.151 0.565 0.849
22 O 0.151 0.935 0.349
23 O 0.227 0.095 0.712
24 O 0.227 0.405 0.212
25 O 0.387 0.581 0.636
26 O 0.387 0.919 0.136
27 O 0.464 0.228 0.605
28 O 0.464 0.272 0.105
29 O 0.468 0.588 0.136
30 O 0.468 0.912 0.636
31 O 0.532 0.088 0.364
32 O 0.532 0.412 0.864
33 O 0.536 0.728 0.895
34 O 0.536 0.772 0.395
35 O 0.613 0.081 0.864
36 O 0.613 0.419 0.364
37 O 0.773 0.595 0.788
38 O 0.773 0.905 0.288
39 O 0.849 0.065 0.651
40 O 0.849 0.435 0.151
41 O 0.905 0.086 0.131
42 O 0.905 0.414 0.631
43 O 0.955 0.183 0.398
44 O 0.955 0.317 0.898

---

Bottom line: c, by a margin of 0.043 eV/atom.